A relaxed structure of KLaNbWO6. Source: the Materials Project database, functional PBE with a Hubbard U.

```
KLaNbWO6
1.0
1.813 3.172 -4.511
-3.600 3.798 -2.512
0.893 5.701 0.632
K La Nb W O
1 1 1 1 6
Cartesian
-0.671 9.502 -4.793 K
-0.224 3.167 -1.598 La
0.000 0.000 0.000 Nb
-0.447 6.335 -3.195 W
0.712 4.713 -3.870 O
-1.606 7.957 -2.521 O
1.169 7.636 -3.546 O
-2.064 5.034 -2.845 O
-1.134 6.660 -5.158 O
0.240 6.010 -1.233 O
```

Output
- Total energy: -7.755 eV/atom
- Spin magnetization: 0.300 μB per atom

=====

A relaxed structure of CrF4. Source: the Materials Project database, functional PBE with a Hubbard U.

```
CrF4
1.0
-3.798 -2.942 2.688
3.976 -2.729 2.656
-0.232 6.382 1.022
Cr F
2 8
Cartesian
-2.028 2.079 5.028 Cr
-2.130 4.904 2.368 Cr
-1.887 -2.514 3.981 F
-2.010 2.159 3.254 F
1.834 3.225 2.361 F
-0.796 4.110 1.488 F
1.976 -1.444 3.092 F
-0.648 -0.576 2.232 F
0.738 -3.389 4.849 F
0.592 1.266 4.143 F
```

Output
- Total energy: -4.949 eV/atom
- Spin magnetization: 0.400 μB per atom

=====

A relaxed structure of K3Na5VMo7O20. Source: the Materials Project database, functional PBE with a Hubbard U.

```
K3Na5VMo7O20
1.0
0.010 0.049 11.428
11.721 -0.015 0.011
-5.885 15.112 -5.651
K Na V Mo O
12 20 4 28 80
Cartesian
0.131 1.671 2.869 K
5.963 1.676 2.872 K
0.127 1.698 8.555 K
5.987 1.686 8.554 K
8.620 5.972 0.069 K
5.642 13.275 -2.770 K
-0.159 13.315 2.911 K
2.811 1.675 0.013 K
8.660 1.623 -0.014 K
2.810 1.687 5.730 K
8.683 1.655 5.734 K
3.068 13.327 5.811 K
-2.737 9.201 -0.029 Na
3.091 9.221 0.080 Na
-2.749 9.169 5.758 Na
3.110 9.154 5.839 Na
2.741 6.128 0.001 Na
-0.181 13.431 -2.744 Na
2.745 6.130 5.705 Na
8.600 6.105 5.732 Na
5.649 13.512 2.943 Na
-0.184 9.187 -2.779 Na
5.631 9.145 -2.761 Na
-0.163 9.157 2.913 Na
5.630 9.140 2.890 Na
0.179 6.129 2.850 Na
-2.767 13.487 0.025 Na
6.042 6.115 2.847 Na
3.081 13.442 0.119 Na
0.189 6.152 8.578 Na
-2.757 13.539 5.768 Na
6.037 6.137 8.582 Na
2.424 11.221 -2.977 V
2.521 11.271 2.599 V
0.433 11.313 -0.210 V
6.285 11.252 -0.213 V
5.847 15.007 -5.563 Mo
-2.943 7.609 -2.711 Mo
-0.046 15.004 -5.570 Mo
2.906 7.602 -2.688 Mo
5.840 14.963 0.135 Mo
-2.928 7.640 3.018 Mo
-0.024 15.005 0.122 Mo
2.914 7.642 3.013 Mo
-2.936 15.017 -2.712 Mo
0.012 7.657 0.145 Mo
2.885 14.984 -2.713 Mo
5.840 7.639 0.160 Mo
-2.957 15.023 2.998 Mo
-0.013 7.606 5.889 Mo
2.922 15.019 2.984 Mo
5.856 7.621 5.889 Mo
-0.298 3.904 -0.349 Mo
-3.339 11.281 -3.130 Mo
5.428 3.884 -0.344 Mo
-0.328 3.921 5.390 Mo
-3.396 11.271 2.522 Mo
5.501 3.921 5.376 Mo
3.281 3.945 2.528 Mo
9.173 3.837 2.605 Mo
3.283 3.956 8.222 Mo
0.419 11.245 5.526 Mo
9.164 3.938 8.211 Mo
6.297 11.268 5.371 Mo
-1.414 7.404 -1.316 O
-4.374 14.832 -4.164 O
4.380 7.371 -1.280 O
1.400 14.818 -4.127 O
-1.455 7.317 4.438 O
-4.426 14.739 1.568 O
4.409 7.380 4.433 O
1.482 14.849 1.527 O
4.392 0.052 1.501 O
1.469 7.902 -1.266 O
10.236 0.089 1.499 O
7.285 7.878 -1.287 O
4.366 0.052 7.187 O
1.459 7.930 4.450 O
4.384 15.104 1.555 O
7.325 7.911 4.452 O
-1.451 7.451 1.588 O
-4.393 14.829 -1.277 O
4.364 7.403 1.578 O
1.434 14.748 -1.289 O
-1.493 7.308 7.286 O
-4.410 14.834 4.423 O
4.380 7.342 7.298 O
1.435 14.884 4.407 O
4.418 0.063 4.353 O
1.471 7.912 1.581 O
10.239 0.014 4.368 O
7.323 7.961 1.600 O
4.391 0.121 10.079 O
1.457 7.894 7.305 O
10.300 0.064 10.039 O
7.329 7.931 7.297 O
0.246 2.096 0.063 O
-2.434 9.671 -2.607 O
6.062 2.129 0.087 O
3.308 9.711 -2.597 O
0.189 2.107 5.809 O
-2.434 9.734 3.118 O
6.061 2.120 5.785 O
3.373 9.746 2.961 O
2.417 5.534 3.191 O
-0.359 12.876 0.132 O
8.303 5.494 3.113 O
5.519 12.830 0.107 O
2.422 5.535 8.912 O
-0.415 12.924 5.925 O
8.270 5.523 8.825 O
5.578 12.940 5.955 O
2.745 2.143 2.960 O
-0.376 9.770 0.168 O
8.544 2.079 3.030 O
5.442 9.735 0.227 O
2.725 2.160 8.643 O
-0.553 9.672 6.004 O
8.623 2.136 8.638 O
5.362 9.720 5.978 O
0.480 5.537 0.303 O
-2.524 12.917 -2.582 O
6.154 5.521 0.369 O
3.097 12.844 -2.717 O
0.535 5.502 6.058 O
-2.669 12.916 3.168 O
6.369 5.509 6.040 O
3.211 12.871 2.974 O
-0.762 4.100 3.505 O
-3.716 11.308 0.566 O
5.063 4.097 3.486 O
2.072 11.314 0.747 O
-0.802 4.125 9.215 O
-3.665 11.336 6.343 O
5.063 4.101 9.184 O
2.074 11.105 6.607 O
3.660 4.094 0.627 O
0.775 11.257 -2.074 O
9.725 3.823 0.750 O
6.695 11.084 -2.045 O
3.723 4.110 6.329 O
0.935 11.107 3.610 O
9.597 4.076 6.321 O
6.516 11.294 3.401 O
```

Output
- Total energy: -6.256 eV/atom
- Spin magnetization: 0.395 μB per atom

=====

A relaxed structure of VSb4O12. Source: the Materials Project database, functional PBE with a Hubbard U.

```
VSb4O12
1.0
-1.527 4.599 -2.601
12.422 -2.018 -11.608
-6.667 -4.074 -4.809
V Sb O
4 16 48
Cartesian
1.401 -1.294 -11.552 V
6.184 -0.778 -13.253 V
-3.375 -1.810 -9.859 V
-1.483 1.744 -3.349 V
4.325 -1.422 -18.812 Sb
-3.337 1.117 -8.905 Sb
1.436 1.634 -10.603 Sb
6.217 2.148 -12.297 Sb
5.441 1.063 -7.063 Sb
3.554 -2.493 -13.563 Sb
-4.106 0.029 -3.671 Sb
0.664 0.548 -5.368 Sb
5.131 0.231 -15.736 Sb
-2.525 2.763 -5.830 Sb
2.243 3.279 -7.528 Sb
0.355 -0.279 -14.032 Sb
4.635 -0.551 -10.132 Sb
9.414 -0.037 -11.825 Sb
-4.914 -1.585 -6.738 Sb
-0.145 -1.066 -8.435 Sb
-2.516 -1.433 -11.623 O
2.264 -0.913 -13.314 O
7.039 -0.404 -15.021 O
-0.621 2.127 -5.116 O
2.593 2.513 -9.262 O
7.374 3.026 -10.955 O
5.479 -0.538 -17.468 O
-2.179 2.003 -7.568 O
4.042 -2.337 -9.542 O
8.820 -1.822 -11.236 O
-5.493 -3.375 -6.144 O
-0.734 -2.853 -7.845 O
4.397 0.538 -5.400 O
2.508 -3.018 -11.901 O
7.282 -2.510 -13.608 O
-0.374 0.024 -3.701 O
6.525 -0.950 -9.874 O
4.634 -4.519 -16.383 O
-3.025 -1.978 -6.479 O
1.745 -1.463 -8.178 O
4.297 0.296 -8.394 O
2.413 -3.262 -14.896 O
-5.256 -0.740 -4.997 O
-0.485 -0.218 -6.698 O
4.861 -1.459 -12.152 O
9.623 -0.949 -13.856 O
1.970 1.585 -3.950 O
0.077 -1.975 -10.455 O
2.640 -0.161 -10.645 O
7.421 0.353 -12.341 O
-0.238 2.872 -2.440 O
-2.138 -0.679 -8.950 O
4.848 -1.505 -14.700 O
-2.813 1.021 -4.802 O
1.958 1.538 -6.500 O
0.071 -2.020 -13.003 O
5.105 1.188 -10.958 O
9.886 1.697 -12.655 O
-4.444 0.157 -7.560 O
0.327 0.673 -9.262 O
5.303 0.855 -13.721 O
-2.360 3.383 -3.816 O
-4.259 -0.174 -10.326 O
0.515 0.341 -12.021 O
4.747 -4.029 -13.281 O
-2.910 -1.501 -3.384 O
1.858 -0.984 -5.083 O
6.637 -0.470 -6.781 O
```

Output
- Total energy: -6.257 eV/atom
- Spin magnetization: 0.058 μB per atom